[1]
72
Lattice="-4.540 7.843 11.118 4.540 -7.843 11.118 4.540 7.843 -11.118" Properties=species:S:1:pos:R:3 comment="CrN2, optimized geometry, DFT PBE" sg="Imma (74)" pbc="T T T"
Cr 2.842 3.921 -2.920
Cr 6.238 3.921 -2.920
Cr 1.719 -0.847 3.949
Cr 7.361 -0.847 3.949
Cr 2.851 1.041 1.333
Cr 6.229 1.041 1.333
Cr 1.661 3.921 0.217
Cr 2.879 -3.921 11.335
Cr 1.719 6.996 -3.949
Cr 2.821 -0.847 7.169
Cr 2.851 6.802 1.333
Cr 1.689 -1.041 12.451
Cr 2.851 8.884 -1.333
Cr 1.689 1.041 9.785
Cr 1.719 8.690 3.949
Cr 2.821 0.847 15.066
Cr 1.661 11.764 -0.217
Cr 2.879 3.921 10.901
Cr -1.689 6.802 9.785
Cr 1.689 6.802 9.785
Cr -2.821 8.690 7.169
Cr 2.821 8.690 7.169
Cr -1.698 3.921 14.037
Cr 1.698 3.921 14.037
N 2.511 0.000 0.000
N 6.569 0.000 0.000
N 2.129 -2.474 3.575
N 6.951 -2.474 3.575
N 4.540 3.921 -3.247
N 4.540 7.196 -7.264
N 2.446 0.235 2.802
N 6.634 0.235 2.802
N 4.540 1.383 1.291
N 2.129 5.369 -3.575
N 2.411 -2.474 7.543
N 2.640 3.921 -1.220
N 6.439 3.921 -1.220
N 1.947 2.503 1.149
N 7.132 2.503 1.149
N 2.270 7.302 -5.559
N 2.270 -0.541 5.559
N 4.540 -3.921 10.894
N 4.540 -0.646 7.264
N 2.446 8.078 -2.802
N 2.094 0.235 8.316
N 1.947 5.340 1.149
N 2.592 -2.503 12.267
N 4.540 6.460 1.291
N 2.511 7.843 0.000
N 2.029 0.000 11.118
N 0.000 1.383 9.827
N 1.947 10.346 -1.149
N 2.592 2.503 9.968
N 2.446 7.608 2.802
N 2.094 -0.235 13.919
N 0.000 8.489 3.853
N 0.000 11.764 0.224
N -2.270 8.384 5.559
N 2.270 8.384 5.559
N -2.592 5.340 9.968
N 2.592 5.340 9.968
N -1.900 3.921 12.338
N 1.900 3.921 12.338
N 2.129 10.316 3.575
N 2.411 2.474 14.692
N 0.000 6.460 9.827
N -2.094 7.608 8.316
N 2.094 7.608 8.316
N 0.000 0.646 18.382
N 0.000 3.921 14.364
N -2.411 10.316 7.543
N 2.411 10.316 7.543

[2]
56
Lattice="12.747 0.000 0.000 0.000 7.092 0.000 0.000 0.000 14.887" Properties=species:S:1:pos:R:3 comment="Ba7SnN6, optimized geometry, DFT PBE" sg="Pbcn (60)" pbc="T T T"
Ba 0.000 0.504 3.722
Ba 0.000 6.588 11.165
Ba 0.403 1.701 7.715
Ba 0.403 5.391 0.272
Ba 2.738 2.887 1.795
Ba 2.738 4.205 9.238
Ba 2.914 2.366 12.988
Ba 2.914 4.726 5.544
Ba 3.459 1.180 5.544
Ba 3.459 5.912 12.988
Ba 3.635 0.659 9.238
Ba 3.635 6.433 1.795
Ba 5.970 1.845 0.272
Ba 5.970 5.246 7.715
Ba 6.373 3.042 11.165
Ba 6.373 4.050 3.722
Ba 6.777 1.845 7.172
Ba 6.777 5.246 14.615
Ba 9.112 0.659 13.092
Ba 9.112 6.433 5.649
Ba 9.287 1.180 1.899
Ba 9.287 5.912 9.342
Ba 9.833 2.366 9.342
Ba 9.833 4.726 1.899
Ba 10.008 2.887 5.649
Ba 10.008 4.205 13.092
Ba 12.344 1.701 14.615
Ba 12.344 5.391 7.172
Sn 0.000 3.005 11.165
Sn 0.000 4.087 3.722
Sn 6.373 0.541 3.722
Sn 6.373 6.551 11.165
N 0.686 2.864 5.331
N 0.686 4.228 12.775
N 1.614 1.730 10.505
N 1.614 5.361 3.062
N 2.090 0.680 14.837
N 2.090 6.412 7.393
N 4.284 2.866 7.393
N 4.284 4.225 14.837
N 4.759 1.816 3.062
N 4.759 5.276 10.505
N 5.688 0.682 12.775
N 5.688 6.410 5.331
N 7.059 0.682 9.555
N 7.059 6.410 2.112
N 7.987 1.816 4.382
N 7.987 5.276 11.825
N 8.463 2.866 0.050
N 8.463 4.225 7.493
N 10.657 0.680 7.493
N 10.657 6.412 0.050
N 11.133 1.730 11.825
N 11.133 5.361 4.382
N 12.061 2.864 2.112
N 12.061 4.228 9.555

[3]
8
Lattice="2.281 1.317 7.405 -2.281 1.317 7.405 0.000 -2.634 7.405" Properties=species:S:1:pos:R:3 comment="GeBiPd6, optimized geometry, DFT PBE" sg="R-3m (166)" pbc="T T T"
Ge 0.000 0.000 0.000
Bi 0.000 0.000 11.108
Pd 0.000 0.000 2.489
Pd 0.000 0.000 5.445
Pd 0.000 0.000 8.144
Pd 0.000 0.000 14.071
Pd 0.000 0.000 16.770
Pd 0.000 0.000 19.726

no.,M_tot (μB/atom),formation enthalpy at 0 K (kJ/mol of formula units)
1,0.000,-26
2,0.000,-698
3,0.000,-207